[1]
Here is a relaxed structure of Ca2AlH10BrO8 from Materials Project. Energies are from PBE-GGA.

The structure in POSCAR format:
```
Ca2AlH10BrO8
1.0
1.496 4.773 2.940
7.015 -2.597 -5.019
-5.022 5.602 -6.521
Ca Al H Br O
4 2 20 2 16
Cartesian
5.518 3.265 -5.178
2.264 3.677 -9.906
-2.030 4.512 -3.422
1.224 4.100 1.306
6.129 -0.003 -5.913
-2.640 7.780 -2.687
3.541 2.453 -2.990
3.088 3.887 -3.426
0.529 4.480 -1.895
-0.197 7.093 -2.534
-0.092 1.872 -3.204
0.877 7.898 -6.071
0.263 2.848 -7.744
3.581 5.905 -5.396
3.685 0.685 -6.066
2.960 3.297 -6.706
-2.709 4.884 -6.583
1.581 1.936 -0.729
-1.873 7.081 -5.017
0.401 3.890 -5.174
-0.053 5.325 -5.610
5.362 0.696 -3.583
1.908 5.841 -7.871
6.197 2.893 -2.017
3.225 4.930 -0.856
2.612 -0.121 -2.530
0.996 1.502 -5.770
4.255 1.088 -1.040
3.499 3.062 -3.760
-0.406 4.259 -1.725
-0.894 7.453 -1.953
-0.627 1.515 -2.469
0.201 3.405 -8.552
4.115 6.262 -6.131
4.382 0.325 -6.647
3.895 3.518 -6.875
-2.159 9.445 -3.531
0.863 2.270 -0.158
-2.364 6.701 -4.263
-0.010 4.715 -4.840
5.852 1.076 -4.337
2.626 5.507 -8.442
5.648 -1.668 -5.069
3.287 4.372 -0.048
```

Calculated values
Total energy = -5.411 eV/atom
E_form = -1.892 eV per atom

---

[2]
Here is a relaxed structure of AlMo4S8 from Materials Project. Energies are from PBE-GGA.

The structure in POSCAR format:
```
AlMo4S8
1.0
-4.906 -4.906 0.000
-4.906 0.000 -4.906
0.000 -4.906 -4.906
Al Mo S
1 4 8
Cartesian
0.000 0.000 0.000
-3.902 -3.902 -3.902
-3.902 -5.911 -5.911
-5.911 -5.911 -3.902
-5.911 -3.902 -5.911
-1.320 -1.320 -1.320
-1.320 -3.586 -3.586
-3.586 -3.586 -1.320
-3.597 -6.216 -3.597
-3.597 -3.597 -6.216
-6.216 -3.597 -3.597
-6.216 -6.216 -6.216
-3.586 -1.320 -3.586
```

Calculated values
Total energy = -7.000 eV/atom
E_form = -1.139 eV per atom
Offset from the most stable computed form = 0.23 kJ per mole of atoms

---

[3]
Here is a relaxed structure of BaZn2P2O8 from Materials Project. Energies are from PBE-GGA.

The structure in POSCAR format:
```
BaZn2P2O8
1.0
9.907 0.000 0.000
0.000 8.707 0.000
0.000 0.242 9.282
Ba Zn P O
4 8 8 32
Cartesian
9.084 2.352 5.613
4.130 6.718 8.310
0.824 6.597 3.669
5.777 2.231 0.972
6.751 5.192 4.090
3.156 3.757 5.192
5.698 0.815 6.574
1.798 3.636 0.551
4.209 8.134 2.708
9.163 0.694 1.933
0.744 8.255 7.349
8.110 5.313 8.731
5.834 4.024 6.883
0.880 5.045 7.040
9.027 3.904 2.242
4.074 4.924 2.399
6.972 8.394 3.957
2.018 0.434 0.684
2.936 0.555 5.325
7.889 8.514 8.598
4.159 6.365 1.813
9.113 2.463 2.828
5.748 2.584 7.469
0.794 6.486 6.454
6.487 7.053 4.540
1.534 1.775 0.101
3.420 1.896 4.742
8.374 7.174 9.181
6.846 4.033 5.713
1.892 5.037 8.210
3.061 4.916 3.569
8.015 3.912 1.072
6.907 0.791 5.057
1.953 8.279 8.866
3.001 8.158 4.225
7.954 0.670 0.416
8.592 4.831 3.422
3.638 3.997 1.219
1.316 4.118 5.860
6.269 4.952 8.063
8.819 0.253 7.419
3.865 8.816 6.504
1.088 8.695 1.863
6.042 0.133 2.778
9.404 4.500 7.486
4.450 4.570 6.437
0.504 4.449 1.796
5.457 4.379 2.845
6.409 8.432 8.109
1.456 0.638 5.814
3.498 0.517 1.173
8.452 8.311 3.468
```

Calculated values
Total energy = -6.526 eV/atom
E_form = -2.730 eV per atom

---

[4]
Here is a relaxed structure of Cr2Fe from Materials Project. Energies are from PBE-GGA.

The structure in POSCAR format:
```
Cr2Fe
1.0
0.000 3.293 3.293
3.293 0.000 3.293
3.293 3.293 0.000
Cr Fe
4 2
Cartesian
2.470 2.470 4.116
2.470 4.116 2.470
4.116 2.470 2.470
4.116 4.116 4.116
1.646 1.646 1.646
0.000 0.000 0.000
```

Calculated values
Total energy = -8.969 eV/atom
E_form = 0.289 eV per atom

---

[5]
Here is a relaxed structure of Th6CBr14 from Materials Project. Energies are from PBE-GGA.

The structure in POSCAR format:
```
Th6CBr14
1.0
-7.734 5.148 5.671
5.579 -3.559 8.642
7.310 11.131 -0.134
Th C Br
12 2 28
Cartesian
1.488 5.416 9.208
4.699 11.309 12.088
0.456 1.410 2.090
3.667 7.303 4.971
4.821 6.765 8.426
5.044 -1.363 7.274
10.342 7.390 9.188
3.416 3.939 6.440
0.334 5.954 5.752
0.111 14.082 6.905
-5.187 5.329 4.991
1.739 8.780 7.739
2.578 6.360 7.089
0.000 0.000 0.000
7.408 7.205 9.958
4.403 1.161 5.706
-2.253 5.514 4.221
0.752 11.559 8.472
1.369 6.948 3.208
8.374 10.321 3.749
0.111 0.220 11.172
0.457 7.949 10.228
3.786 5.771 10.971
-3.219 2.398 10.429
2.918 10.085 5.412
-4.432 6.968 7.281
-0.381 12.271 4.673
-1.107 4.822 8.020
2.237 2.634 8.766
9.587 5.752 6.897
5.536 0.448 9.506
6.262 7.898 6.159
5.032 8.430 2.158
0.979 3.158 4.868
4.176 9.562 9.311
0.123 4.289 12.020
-0.794 8.565 6.337
-4.362 2.942 6.424
5.949 4.154 7.842
2.207 -1.354 7.889
4.699 4.771 3.951
5.044 12.499 3.006
```

Calculated values
Total energy = -5.211 eV/atom
E_form = -1.918 eV per atom

---

[6]
Here is a relaxed structure of CsC2O2 from Materials Project. Energies are from PBE-GGA.

The structure in POSCAR format:
```
CsC2O2
1.0
0.000 0.102 4.844
3.584 5.764 0.000
-3.584 5.764 0.000
Cs C O
2 4 4
Cartesian
0.000 4.041 3.892
0.000 7.589 0.952
-2.843 6.382 2.901
2.843 5.248 1.944
-2.843 5.248 1.944
2.843 6.382 2.901
-1.939 7.066 3.462
1.939 7.066 3.462
-1.939 4.564 1.382
1.939 4.564 1.382
```

Calculated values
Total energy = -6.897 eV/atom
E_form = -1.322 eV per atom

---

[7]
Here is a relaxed structure of LiErO2 from Materials Project. Energies are from PBE-GGA.

The structure in POSCAR format:
```
LiErO2
1.0
6.166 0.000 0.000
0.000 6.139 0.000
0.000 3.017 5.419
Li Er O
4 4 8
Cartesian
2.153 4.555 0.287
5.236 3.093 2.423
4.013 4.602 5.132
0.930 6.063 2.996
5.369 7.653 5.325
3.880 6.144 2.615
0.797 1.504 0.095
2.286 3.012 2.804
4.097 2.037 3.611
3.765 4.144 1.437
1.014 8.628 4.518
2.069 7.120 1.808
2.401 5.013 3.982
0.682 3.504 1.273
5.484 5.652 4.147
5.152 0.528 0.901
```

Calculated values
Total energy = -7.071 eV/atom
E_form = -3.322 eV per atom
Offset from the most stable computed form = 0.00 kJ per mole of atoms

---

[8]
Here is a relaxed structure of Be3BiRh9O18 from Materials Project. Energies are from PBE-GGA.

The structure in POSCAR format:
```
Be3BiRh9O18
1.0
-5.815 6.654 3.820
2.400 -6.504 6.680
7.924 4.181 -3.523
Be Bi Rh O
6 2 18 36
Cartesian
-2.690 2.619 5.354
3.708 5.364 -0.485
4.618 -2.568 3.852
-0.109 6.900 3.125
0.801 -1.032 7.462
7.199 1.713 1.623
3.382 3.249 5.233
1.127 1.083 1.744
2.871 6.074 3.808
2.248 -3.362 5.852
1.367 4.611 1.521
6.192 3.386 -0.887
-0.216 0.663 4.996
1.244 2.101 7.326
4.513 0.167 2.247
6.029 1.571 4.563
-2.831 5.365 3.716
3.142 -0.279 5.456
2.261 7.694 1.126
1.638 -1.742 3.169
3.265 2.231 -0.349
4.725 3.669 1.981
-1.683 0.945 7.864
7.339 -1.033 3.262
-1.520 2.761 2.414
-0.004 4.164 4.730
3.878 7.263 2.414
2.359 5.831 0.110
3.261 -2.132 4.451
-2.071 1.274 5.802
4.341 4.018 -0.065
-0.588 2.734 8.112
-1.973 3.521 4.324
6.848 -0.257 5.163
5.362 -1.677 2.831
1.248 6.463 2.526
2.150 -1.499 6.867
0.630 -2.932 4.563
5.097 1.598 -1.135
0.168 0.314 7.042
6.580 3.057 1.175
-0.853 6.008 4.146
-2.339 4.588 1.814
6.482 0.810 2.653
-3.605 7.166 3.168
5.310 3.370 3.910
3.685 1.925 1.622
0.360 3.423 2.841
1.292 -4.497 7.244
1.809 4.982 5.172
3.025 1.392 6.615
1.544 0.022 4.187
7.998 2.793 -1.615
0.824 2.407 5.355
-0.801 0.962 3.067
8.114 -2.834 3.809
2.700 -0.651 1.806
3.217 8.829 -0.267
4.149 0.909 4.137
-3.489 1.538 8.593
2.964 4.310 2.790
1.484 2.940 0.363
```

Calculated values
Total energy = -6.618 eV/atom
E_form = -1.518 eV per atom

---

Among the records above, which one has the highest E_form?
Cr2Fe